Density functional theory data (PBE-GGA) for a relaxed structure of HoAgHg2.

Structure (CIF):
```
data_HoAgHg2
_cell_length_a 7.092
_cell_length_b 7.092
_cell_length_c 7.092
_cell_angle_alpha 90.00
_cell_angle_beta 90.00
_cell_angle_gamma 90.00
_space_group_name_H-M_alt 'F m -3 m'
_space_group_IT_number 225
_space_group_name_Hall '-F 4 2 3'
loop_
_atom_site_label
_atom_site_type_symbol
_atom_site_fract_x
_atom_site_fract_y
_atom_site_fract_z
Ho1 Ho 0.000 0.000 0.000
Ag1 Ag 0.000 0.000 0.500
Hg1 Hg 0.250 0.250 0.250
```

energy relative to the elements: -31.8 kJ/mol of atoms